A relaxed Mg149Si crystal. Source: Materials Project, functional PBE.

The structure in CIF format:
```
data_Mg149Si
_cell_length_a 15.9386
_cell_length_b 15.9386
_cell_length_c 15.5391
_cell_angle_alpha 90.00
_cell_angle_beta 90.00
_cell_angle_gamma 120.00
_symmetry_space_group_name_H-M 'P -6 m 2'
_symmetry_Int_Tables_number 187
_symmetry_space_group_name_Hall 'P -6 2'
loop_
_atom_site_label
_atom_site_fract_x
_atom_site_fract_y
_atom_site_fract_z
_atom_site_occupancy
Mg1 0.0000 0.0000 0.0000 1
Mg2 0.0000 0.0000 0.3335 1
Mg3 0.9997 0.2001 0.0000 1
Mg4 0.9999 0.1999 0.3338 1
Mg5 0.0005 0.4002 0.0000 1
Mg6 0.0012 0.4007 0.3345 1
Mg7 0.1333 0.0667 0.1673 1
Mg8 0.1334 0.2668 0.1670 1
Mg9 0.1336 0.0668 0.5000 1
Mg10 0.1339 0.2677 0.5000 1
Mg11 0.1341 0.4676 0.1668 1
Mg12 0.1372 0.4692 0.5000 1
Mg13 0.1994 0.3989 0.3328 1
Mg14 0.2003 0.4006 0.0000 1
Mg15 0.2006 0.6003 0.0000 1
Mg16 0.2028 0.6014 0.3363 1
Mg17 0.3334 0.0664 0.1671 1
Mg18 0.3334 0.0662 0.5000 1
Mg19 0.3333 0.6667 0.1675 1
Mg20 0.3998 0.1999 0.0000 1
Mg21 0.4000 0.2000 0.3340 1
Mg22 0.5323 0.0646 0.5000 1
Mg23 0.5333 0.0665 0.1674 1
Mg24 0.5334 0.2667 0.1673 1
Mg25 0.5330 0.2665 0.5000 1
Mg26 0.5996 0.1992 0.0000 1
Mg27 0.5997 0.1994 0.3338 1
Si1 0.3333 0.6667 0.5000 1
```

Theoretical density, g/cm3: 1.773
Calculated formation energy, kcal/mol of atoms: -0.6

A relaxed Mn3Sb crystal. Source: Materials Project, functional PBE.

The structure in CIF format:
```
data_Mn3Sb
_cell_length_a 5.4141
_cell_length_b 5.4141
_cell_length_c 4.3447
_cell_angle_alpha 90.00
_cell_angle_beta 90.00
_cell_angle_gamma 120.00
_symmetry_space_group_name_H-M 'P 63/m m c'
_symmetry_Int_Tables_number 194
_symmetry_space_group_name_Hall '-P 6c 2c'
loop_
_atom_site_label
_atom_site_fract_x
_atom_site_fract_y
_atom_site_fract_z
_atom_site_occupancy
Mn1 0.1530 0.3059 0.2500 1
Sb1 0.3333 0.6667 0.7500 1
```

Theoretical density, g/cm3: 8.629
Calculated formation energy, kcal/mol of atoms: 1.0

A relaxed CsNaEuNb5O15 crystal. Source: Materials Project, functional PBE.

The structure in CIF format:
```
data_CsNaEuNb5O15
_cell_length_a 7.7432
_cell_length_b 10.7251
_cell_length_c 7.9427
_cell_angle_alpha 90.00
_cell_angle_beta 90.00
_cell_angle_gamma 90.00
_symmetry_space_group_name_H-M 'P m c 21'
_symmetry_Int_Tables_number 26
loop_
_symmetry_equiv_pos_as_xyz
'x,y,z'
'-x,-y,z+1/2'
'-x,y,z'
'x,-y,z+1/2'
loop_
_atom_site_label
_atom_site_fract_x
_atom_site_fract_y
_atom_site_fract_z
_atom_site_occupancy
Cs1 0.0000 0.0033 0.0000 1
Na1 0.5000 0.4920 0.0057 1
Eu1 0.0000 0.4864 0.0044 1
Nb1 0.2541 0.3065 0.2575 1
Nb2 0.2548 0.3050 0.7545 1
Nb3 0.5000 0.0008 0.2275 1
O1 0.0000 0.2796 0.2190 1
O2 0.0000 0.2805 0.7886 1
O3 0.1858 0.4999 0.2532 1
O4 0.2097 0.3284 0.5036 1
O5 0.2663 0.3364 0.0035 1
O6 0.3121 0.1319 0.7468 1
O7 0.3149 0.1336 0.2553 1
O8 0.5000 0.0047 0.9977 1
O9 0.5000 0.3574 0.7308 1
O10 0.5000 0.3584 0.2790 1
```

Theoretical density, g/cm3: 5.097
Calculated formation energy, kcal/mol of atoms: -69.4

A relaxed NbCuTe2 crystal. Source: Materials Project, functional PBE.

The structure in CIF format:
```
data_NbCuTe2
_cell_length_a 6.7969
_cell_length_b 3.8409
_cell_length_c 7.3276
_cell_angle_alpha 90.00
_cell_angle_beta 107.75
_cell_angle_gamma 90.00
_symmetry_space_group_name_H-M 'P 1 21/m 1'
_symmetry_Int_Tables_number 11
loop_
_symmetry_equiv_pos_as_xyz
'x,y,z'
'-x,-y,-z'
'-x,y+1/2,-z'
'x,-y+1/2,z'
loop_
_atom_site_label
_atom_site_fract_x
_atom_site_fract_y
_atom_site_fract_z
_atom_site_occupancy
Nb1 0.1745 0.2500 0.4944 1
Cu1 0.3922 0.2500 0.9089 1
Te1 0.0100 0.7500 0.2123 1
Te2 0.4951 0.7500 0.7061 1
```

Theoretical density, g/cm3: 7.504
Calculated formation energy, kcal/mol of atoms: -12.3